Entry 1:
Here is crystalline Ce2InGe2 at its relaxed geometry from the Materials Project database. Energies are from meta-GGA r2SCAN.

Cell lengths 7.5763, 7.5763, 4.3630 Å; angles 90.00, 90.00, 89.99 degrees
Positions (direct):
Ce 0.3188 0.8188 0.5000
Ce 0.8188 0.6812 0.5000
Ce 0.1812 0.3188 0.5000
Ce 0.6812 0.1812 0.5000
In 0.0000 0.0000 0.0000
In 0.5000 0.5000 0.0000
Ge 0.6169 0.8831 0.0000
Ge 0.3831 0.1169 0.0000
Ge 0.8832 0.3832 0.0000
Ge 0.1168 0.6168 0.0000

Calculated values
ΔE_f, eV per atom: -0.7949
Symmetry: No. 127
Magnetization, μB per formula unit: 1.89
Crystal system: tetragonal

---

Entry 2:
Here is crystalline CeGeIr at its relaxed geometry from the Materials Project database. Energies are from meta-GGA r2SCAN.

Cell lengths 4.4033, 7.0965, 7.5514 Å; angles 89.99, 90.00, 90.00 degrees
Positions (direct):
Ce 0.7500 0.5160 0.1995
Ce 0.2500 0.9840 0.6995
Ce 0.7500 0.0160 0.3005
Ce 0.2500 0.4840 0.8005
Ge 0.2500 0.8239 0.0832
Ge 0.2500 0.3240 0.4169
Ge 0.7500 0.1761 0.9168
Ge 0.7500 0.6760 0.5831
Ir 0.2500 0.2128 0.0895
Ir 0.2500 0.7128 0.4105
Ir 0.7500 0.2872 0.5895
Ir 0.7500 0.7872 0.9105

Calculated values
ΔE_f, eV per atom: -0.9613
Symmetry: No. 62
Magnetization, μB per formula unit: 0.84
Crystal system: orthorhombic

---

Entry 3:
Here is crystalline CeGe3Ir at its relaxed geometry from the Materials Project database. Energies are from meta-GGA r2SCAN.

Cell lengths 4.4182, 4.4182, 5.9247 Å; angles 111.89, 111.89, 90.00 degrees
Positions (direct):
Ce 0.5779 0.5779 0.1558
Ge 0.8437 0.3437 0.6875
Ge 0.3437 0.8437 0.6875
Ge 0.0011 0.0011 0.0022
Ir 0.2392 0.2392 0.4784

Calculated values
ΔE_f, eV per atom: -0.7475
Symmetry: No. 107
Magnetization, μB per formula unit: 0.98
Crystal system: tetragonal

---

Entry 4:
Here is crystalline LiCeGe2 at its relaxed geometry from the Materials Project database. Energies are from meta-GGA r2SCAN.

Cell lengths 3.9735, 7.8534, 10.7123 Å; angles 90.00, 90.00, 90.00 degrees
Positions (direct):
Li 0.2500 0.9922 0.6085
Li 0.2500 0.4922 0.8915
Li 0.7500 0.5078 0.1085
Li 0.7500 0.0079 0.3915
Ce 0.2500 0.6352 0.3678
Ce 0.7500 0.3647 0.6322
Ce 0.2500 0.1353 0.1322
Ce 0.7500 0.8647 0.8678
Ge 0.7500 0.3399 0.3133
Ge 0.2500 0.1601 0.8134
Ge 0.2500 0.6601 0.6866
Ge 0.7500 0.8399 0.1867
Ge 0.7500 0.7769 0.5694
Ge 0.2500 0.2230 0.4305
Ge 0.7500 0.2770 0.9306
Ge 0.2500 0.7231 0.0695

Calculated values
ΔE_f, eV per atom: -0.7421
Symmetry: No. 62
Magnetization, μB per formula unit: 1.06
Crystal system: orthorhombic

---

Entry 5:
Here is crystalline Ce2MgGe2 at its relaxed geometry from the Materials Project database. Energies are from meta-GGA r2SCAN.

Cell lengths 7.4801, 7.4801, 4.3833 Å; angles 90.00, 90.00, 90.00 degrees
Positions (direct):
Ce 0.3210 0.8210 0.5000
Ce 0.8210 0.6790 0.5000
Ce 0.1790 0.3210 0.5000
Ce 0.6790 0.1790 0.5000
Mg 0.0000 0.0000 0.0000
Mg 0.5000 0.5000 0.0000
Ge 0.3800 0.1200 0.0000
Ge 0.6200 0.8800 0.0000
Ge 0.1200 0.6200 0.0000
Ge 0.8800 0.3800 0.0000

Calculated values
ΔE_f, eV per atom: -0.7660
Symmetry: No. 127
Magnetization, μB per formula unit: 1.96
Crystal system: tetragonal

---

Entry 6:
Here is crystalline Ce2NiGe3 at its relaxed geometry from the Materials Project database. Energies are from meta-GGA r2SCAN.

Cell lengths 4.2940, 8.2913, 8.2913 Å; angles 120.00, 90.00, 90.00 degrees
Positions (direct):
Ce 0.5000 0.0000 0.0000
Ce 0.5000 0.0000 0.5004
Ce 0.5000 0.4996 0.4996
Ce 0.5000 0.5004 0.0000
Ni 0.0000 0.6667 0.3333
Ni 0.0000 0.3333 0.6667
Ge 0.0000 0.8274 0.1728
Ge 0.0000 0.8272 0.6546
Ge 0.0000 0.3455 0.1726
Ge 0.0000 0.1728 0.8274
Ge 0.0000 0.6546 0.8272
Ge 0.0000 0.1726 0.3455

Calculated values
ΔE_f, eV per atom: -0.8093
Symmetry: No. 191
Magnetization, μB per formula unit: 1.95
Crystal system: hexagonal